1.
Material: YMn2S4
Method: DFT, GGA-PBE
State: optimized geometry

Calculated values
- Energy relative to the lowest polymorph listed for this composition: 0.015 eV per atom
- Space-group type: C2/m, No. 12
- Uncorrected energy: -97.10 eV for the cell shown

abc: 7.4482 7.4482 7.2756
angles: 61.01 61.01 62.53
Sites, in units of the cell vectors:
S (0.3008, 0.7171, 0.7465)
Y (0.0000, 0.5000, 0.0000)
Mn (0.5000, 0.5000, 0.5000)
S (0.6992, 0.2829, 0.2535)
S (0.2829, 0.6992, 0.2535)
S (0.2395, 0.2395, 0.2695)
S (0.2618, 0.2618, 0.7268)
Mn (0.5000, 0.0000, 0.5000)
S (0.7171, 0.3008, 0.7465)
Mn (0.5000, 0.5000, 0.0000)
S (0.7605, 0.7605, 0.7305)
Mn (0.0000, 0.5000, 0.5000)
Y (0.5000, 0.0000, 0.0000)
S (0.7382, 0.7382, 0.2732)



2.
Material: Na3CaAlP2SO12
Method: DFT, GGA-PBE
State: optimized geometry

Calculated values
- Uncorrected energy: -774.52 eV for the cell shown

abc: 9.1805 9.0608 22.1140
angles: 92.21 90.00 120.44
Sites, in units of the cell vectors:
Na (0.3634, 0.3575, 0.2484)
O (0.4889, 0.8667, 0.3654)
Al (0.0350, 0.0199, 0.1488)
S (0.6868, 0.0415, 0.0799)
Na (0.6431, 0.6373, 0.7448)
Na (0.6609, 0.9706, 0.5782)
O (0.8556, 0.4821, 0.4220)
O (0.9609, 0.8220, 0.0910)
Na (0.9941, 0.3575, 0.7484)
O (0.9937, 0.1971, 0.9093)
Na (0.3337, 0.6509, 0.6663)
O (0.0104, 0.8111, 0.4126)
Na (0.0300, 0.6908, 0.5817)
O (0.6770, 0.1444, 0.7459)
O (0.1856, 0.0282, 0.5853)
O (0.2942, 0.4886, 0.7576)
O (0.1890, 0.1487, 0.0887)
O (0.8611, 0.8220, 0.5910)
O (0.5476, 0.6792, 0.9761)
O (0.1073, 0.4728, 0.8589)
P (0.2907, 0.9888, 0.2518)
O (0.9598, 0.1487, 0.5887)
O (0.7900, 0.9623, 0.6948)
O (0.7999, 0.0121, 0.4110)
O (0.4674, 0.1444, 0.2459)
O (0.7920, 0.7840, 0.3009)
O (0.7111, 0.5334, 0.5321)
P (0.6886, 0.6405, 0.5863)
O (0.4587, 0.1173, 0.6343)
P (0.6240, 0.6555, 0.9185)
O (0.0321, 0.8061, 0.6922)
P (0.9574, 0.3222, 0.5852)
Al (0.7016, 0.3533, 0.4822)
O (0.6988, 0.1394, 0.0256)
P (0.6982, 0.9888, 0.7518)
O (0.9920, 0.7840, 0.8009)
O (0.8007, 0.8111, 0.9126)
O (0.1723, 0.9623, 0.1948)
O (0.8390, 0.2957, 0.5282)
O (0.3312, 0.8846, 0.9783)
O (0.2142, 0.0126, 0.3095)
Na (0.9942, 0.6373, 0.2448)
O (0.1234, 0.6290, 0.3615)
Ca (0.0062, 0.9948, 0.8512)
P (0.3553, 0.9738, 0.9196)
O (0.1332, 0.6787, 0.0777)
O (0.7740, 0.8061, 0.1922)
O (0.8867, 0.5512, 0.1450)
O (0.6604, 0.5304, 0.2427)
S (0.0202, 0.7082, 0.7465)
Al (0.6516, 0.3533, 0.9822)
O (0.2033, 0.1971, 0.4093)
S (0.6880, 0.7082, 0.2465)
P (0.6185, 0.9738, 0.4196)
O (0.1317, 0.6792, 0.4761)
O (0.4407, 0.1394, 0.5256)
O (0.3271, 0.8637, 0.5760)
P (0.0315, 0.6555, 0.4185)
Al (0.3183, 0.6866, 0.3155)
O (0.5367, 0.8637, 0.0760)
Na (0.3097, 0.9706, 0.0782)
P (0.9518, 0.6405, 0.0863)
Na (0.0004, 0.9842, 0.9996)
O (0.5455, 0.6787, 0.5777)
O (0.8700, 0.5304, 0.7427)
O (0.6646, 0.5512, 0.6450)
O (0.1556, 0.2000, 0.6987)
O (0.3778, 0.8667, 0.8654)
O (0.8809, 0.3459, 0.6428)
O (0.3253, 0.4507, 0.4676)
Na (0.6671, 0.3176, 0.3330)
O (0.1253, 0.4507, 0.9676)
O (0.0444, 0.2000, 0.1987)
O (0.5223, 0.8154, 0.7554)
Na (0.9838, 0.9842, 0.4996)
O (0.2122, 0.0121, 0.9110)
S (0.0213, 0.3748, 0.9132)
O (0.6276, 0.1553, 0.4243)
O (0.1759, 0.6949, 0.7520)
O (0.2931, 0.8154, 0.2554)
Al (0.9849, 0.0199, 0.6488)
O (0.5533, 0.8846, 0.4783)
O (0.3654, 0.4728, 0.3589)
Ca (0.3395, 0.6615, 0.5178)
Na (0.3275, 0.0242, 0.4151)
P (0.0220, 0.3071, 0.2530)
Ca (0.6553, 0.3282, 0.6845)
P (0.3648, 0.3222, 0.0852)
Na (0.6505, 0.3176, 0.8330)
Na (0.9764, 0.3040, 0.4115)
Ca (0.9887, 0.9948, 0.3512)
O (0.4650, 0.3459, 0.1428)
Na (0.3276, 0.3040, 0.9115)
O (0.5056, 0.6290, 0.8615)
Ca (0.6728, 0.3282, 0.1845)
O (0.8789, 0.3454, 0.2444)
Ca (0.3220, 0.6615, 0.0178)
O (0.8222, 0.5334, 0.0321)
O (0.8426, 0.0282, 0.0853)
O (0.3437, 0.4777, 0.0793)
O (0.4567, 0.2957, 0.0282)
O (0.5277, 0.1553, 0.9243)
Al (0.3683, 0.6866, 0.8155)
O (0.2200, 0.2179, 0.8117)
O (0.9979, 0.2179, 0.3117)
S (0.3535, 0.3748, 0.4132)
Na (0.6967, 0.0242, 0.9151)
O (0.6587, 0.1173, 0.1343)
O (0.8523, 0.3615, 0.9186)
Na (0.6608, 0.6908, 0.0817)
S (0.3547, 0.0415, 0.5799)
O (0.6264, 0.4821, 0.9220)
O (0.7983, 0.0126, 0.8095)
Na (0.3172, 0.6509, 0.1663)
O (0.5092, 0.3615, 0.4186)
P (0.2852, 0.3071, 0.7530)
O (0.1944, 0.4886, 0.2576)
O (0.4665, 0.3454, 0.7444)
O (0.5190, 0.6949, 0.2520)
O (0.1340, 0.4777, 0.5793)



3.
Material: Y3SnC
Method: DFT, GGA-PBE
State: optimized geometry

Calculated values
- Space-group type: Pm-3m, No. 221
- Uncorrected energy: -35.93 eV for the cell shown

abc: 4.8999 4.8999 4.8999
angles: 90.00 90.00 90.00
Sites, in units of the cell vectors:
C (0.5000, 0.5000, 0.5000)
Sn (0.0000, 0.0000, 0.0000)
Y (0.5000, 0.0000, 0.5000)
Y (0.5000, 0.5000, 0.0000)
Y (0.0000, 0.5000, 0.5000)



4.
Material: Nb21S8
Method: DFT, GGA-PBE
State: optimized geometry

Calculated values
- Space-group type: I4/m, No. 87
- Uncorrected energy: -260.92 eV for the cell shown

abc: 12.0946 12.0946 12.0946
angles: 91.12 91.12 163.94
Sites, in units of the cell vectors:
Nb (0.0812, 0.4502, 0.5314)
S (0.8626, 0.9361, 0.7987)
Nb (0.1977, 0.8082, 0.0059)
S (0.3644, 0.7871, 0.1515)
Nb (0.9801, 0.2781, 0.2582)
Nb (0.8146, 0.3841, 0.1986)
Nb (0.4513, 0.3649, 0.8162)
Nb (0.5487, 0.6351, 0.1838)
S (0.7871, 0.6356, 0.4227)
Nb (0.6351, 0.4513, 0.0864)
Nb (0.3841, 0.1854, 0.5695)
Nb (0.9188, 0.5498, 0.4686)
Nb (0.2781, 0.0199, 0.2980)
Nb (0.8082, 0.8023, 0.6104)
Nb (0.0199, 0.7219, 0.7418)
S (0.1374, 0.0639, 0.2013)
Nb (0.1918, 0.1977, 0.3896)
Nb (0.1854, 0.6159, 0.8014)
Nb (0.8023, 0.1918, 0.9941)
S (0.2129, 0.3644, 0.5773)
S (0.6356, 0.2129, 0.8485)
Nb (0.0000, 0.0000, 0.0000)
Nb (0.4502, 0.9188, 0.3691)
S (0.9361, 0.1374, 0.0735)
Nb (0.7219, 0.9801, 0.7020)
S (0.0639, 0.8626, 0.9265)
Nb (0.3649, 0.5487, 0.9136)
Nb (0.6159, 0.8146, 0.4305)
Nb (0.5498, 0.0812, 0.6309)



5.
Material: K2VCuSe4
Method: DFT, GGA-PBE
State: optimized geometry

Calculated values
- Energy relative to the lowest polymorph listed for this composition: 0.015 eV per atom
- Space-group type: P1, No. 1
- Uncorrected energy: -73.03 eV for the cell shown

abc: 13.7311 12.2696 7.3449
angles: 84.92 62.88 32.20
Sites, in units of the cell vectors:
Se (0.3901, 0.7265, 0.8083)
K (0.4307, 0.4300, 0.0762)
V (0.2520, 0.2447, 0.2460)
Se (0.8676, 0.5192, 0.4395)
K (0.8197, 0.8163, 0.1825)
Se (0.0802, 0.8036, 0.7222)
Se (0.8192, 0.0701, 0.3849)
Se (0.7215, 0.3893, 0.0850)
Se (0.5276, 0.8566, 0.1688)
V (0.0072, 0.9952, 0.9982)
K (0.1745, 0.1832, 0.8195)
Cu (0.5025, 0.5003, 0.4929)
Cu (0.7409, 0.7568, 0.7573)
Se (0.4495, 0.1639, 0.8550)
K (0.0710, 0.0717, 0.4238)
Se (0.1763, 0.4343, 0.5193)



6.
Material: Gd4Si2Se3O7
Method: DFT, GGA-PBE
State: optimized geometry

Calculated values
- Space-group type: I4_1/amd, No. 141
- Uncorrected energy: -627.39 eV for the cell shown

abc: 11.0798 11.0798 11.0798
angles: 100.17 114.31 114.31
Sites, in units of the cell vectors:
Si (0.8745, 0.7815, 0.9070)
Se (0.3550, 0.3550, 0.5000)
Se (0.1450, 0.6450, 0.0000)
O (0.4888, 0.9194, 0.1494)
Gd (0.5109, 0.3333, 0.3442)
Se (0.6450, 0.0000, 0.6450)
O (0.2701, 0.8394, 0.8506)
Si (0.1255, 0.9070, 0.5326)
Se (0.7500, 0.8750, 0.1250)
O (0.0207, 0.8306, 0.3513)
Gd (0.4891, 0.6667, 0.6558)
Si (0.6255, 0.0930, 0.2185)
O (0.7701, 0.9194, 0.4306)
O (0.0112, 0.1606, 0.4306)
O (0.0112, 0.8506, 0.0806)
Gd (0.5109, 0.1777, 0.6667)
Gd (0.4051, 0.7025, 0.9525)
O (0.4793, 0.8306, 0.8100)
O (0.2500, 0.3921, 0.1421)
O (0.7299, 0.5694, 0.0806)
O (0.9888, 0.8394, 0.5694)
O (0.2701, 0.4306, 0.9194)
Se (0.2500, 0.6250, 0.3750)
Gd (0.9891, 0.6558, 0.6667)
O (0.5207, 0.3513, 0.8306)
Gd (0.9891, 0.3333, 0.8223)
Gd (0.2500, 0.9525, 0.0475)
O (0.2299, 0.0806, 0.5694)
Se (0.6450, 0.6450, 0.5000)
O (0.9793, 0.8100, 0.8306)
Gd (0.0109, 0.3442, 0.3333)
Gd (0.2500, 0.2975, 0.7025)
Se (0.1450, 0.5000, 0.6450)
Si (0.3745, 0.9070, 0.7815)
Si (0.3745, 0.4674, 0.0930)
Se (0.7500, 0.3750, 0.6250)
Se (0.8550, 0.5000, 0.3550)
Se (0.8550, 0.3550, 0.0000)
Gd (0.5949, 0.2975, 0.0475)
O (0.5112, 0.0806, 0.8506)
O (0.2299, 0.1494, 0.1606)
Si (0.6255, 0.5326, 0.9070)
O (0.7500, 0.1421, 0.3921)
O (0.2500, 0.8579, 0.6079)
O (0.4793, 0.6487, 0.1694)
O (0.7299, 0.1606, 0.1494)
O (0.5112, 0.4306, 0.1606)
O (0.4888, 0.5694, 0.8394)
Gd (0.7500, 0.7025, 0.2975)
Gd (0.0949, 0.0475, 0.2975)
Si (0.8745, 0.0930, 0.4674)
Gd (0.4891, 0.8223, 0.3333)
O (0.9888, 0.1494, 0.9194)
O (0.7701, 0.8506, 0.8394)
Si (0.1255, 0.2185, 0.0930)
Gd (0.0109, 0.6667, 0.1777)
Gd (0.9051, 0.9525, 0.7025)
O (0.5207, 0.1694, 0.1900)
O (0.7500, 0.6079, 0.8579)
O (0.9793, 0.1694, 0.6487)
Se (0.3550, 0.0000, 0.3550)
Gd (0.7500, 0.0475, 0.9525)
Se (0.2500, 0.1250, 0.8750)
O (0.0207, 0.1900, 0.1694)



7.
Material: ErSi2Ir2
Method: DFT, GGA-PBE
State: optimized geometry

Calculated values
- Space-group type: I4/mmm, No. 139
- Uncorrected energy: -38.52 eV for the cell shown

abc: 5.7394 5.7394 5.7394
angles: 138.40 138.40 60.30
Sites, in units of the cell vectors:
Si (0.3793, 0.3793, 0.0000)
Ir (0.7500, 0.2500, 0.5000)
Er (0.0000, 0.0000, 0.0000)
Ir (0.2500, 0.7500, 0.5000)
Si (0.6207, 0.6207, 0.0000)



8.
Material: U2Ga2O5
Method: DFT, GGA-PBE
State: optimized geometry

Calculated values
- Space-group type: P4/mmm, No. 123
- Uncorrected energy: -70.29 eV for the cell shown

abc: 4.0244 4.0244 6.8327
angles: 90.00 90.00 90.00
Sites, in units of the cell vectors:
O (0.5000, 0.0000, 0.2393)
Ga (0.5000, 0.5000, 0.2109)
O (0.0000, 0.5000, 0.7607)
U (0.0000, 0.0000, 0.0000)
Ga (0.5000, 0.5000, 0.7891)
O (0.5000, 0.5000, 0.5000)
O (0.0000, 0.5000, 0.2393)
O (0.5000, 0.0000, 0.7607)
U (0.0000, 0.0000, 0.5000)



What did we get for formation energy from the elements? Answer: -127.18, -257.00, -63.46, -65.62, -108.72, -297.77, -104.72, -218.13 kJ/mol of atoms, in the order shown.
What did we get for calculated volume? Answer: 21.07, 13.20, 23.53, 16.71, 28.58, 16.04, 16.50, 12.30 Å³ per atom, in the order shown.